Entry P
AlPb3OF9: relaxed, PBE-GGA.

```
AlPb3OF9
1.0
5.8707 0.0000 0.0000
0.0000 5.7545 0.0000
-4.9976 0.0000 26.3360
Al Pb O F
4 12 4 36
Direct
0.1625 0.1988 0.4030
0.1625 0.3012 0.9030
0.8375 0.6988 0.0970
0.8375 0.8012 0.5970
0.0302 0.6984 0.3091
0.0302 0.8016 0.8091
0.3432 0.2138 0.0748
0.3432 0.2862 0.5748
0.4350 0.6703 0.1946
0.4350 0.8297 0.6946
0.5650 0.1703 0.3054
0.5650 0.3297 0.8054
0.6568 0.7138 0.4252
0.6568 0.7862 0.9252
0.9698 0.1984 0.1909
0.9698 0.3016 0.6909
0.0672 0.5832 0.5011
0.0672 0.9168 0.0011
0.9328 0.0832 0.9989
0.9328 0.4168 0.4989
0.0057 0.5292 0.6035
0.0057 0.9708 0.1035
0.0271 0.1448 0.3337
0.0271 0.3552 0.8337
0.0831 0.5371 0.0802
0.0831 0.9629 0.5802
0.2501 0.0697 0.7549
0.2501 0.4303 0.2549
0.2559 0.5620 0.7497
0.2559 0.9380 0.2497
0.3100 0.2319 0.4665
0.3100 0.2681 0.9665
0.3165 0.5772 0.8941
0.3165 0.9228 0.3941
0.3493 0.2483 0.6634
0.3493 0.2517 0.1634
0.4001 0.1359 0.8800
0.4001 0.3641 0.3800
0.5999 0.6359 0.6200
0.5999 0.8641 0.1200
0.6507 0.7483 0.8366
0.6507 0.7517 0.3366
0.6835 0.0772 0.6059
0.6835 0.4228 0.1059
0.6900 0.7319 0.0335
0.6900 0.7681 0.5335
0.7441 0.0620 0.7503
0.7441 0.4380 0.2503
0.7499 0.5697 0.7451
0.7499 0.9303 0.2451
0.9169 0.0371 0.4198
0.9169 0.4629 0.9198
0.9729 0.6448 0.1663
0.9729 0.8552 0.6663
0.9943 0.0292 0.8965
0.9943 0.4708 0.3965
```

crystal system: monoclinic
space group: P2_1/c
volume: 15.9 Å³/atom
spin magnetization: 4.0 Bohr magnetons per cell

***

Entry Q
AlPb3OF9: relaxed, PBE-GGA.

```
AlPb3OF9
1.0
5.7374 0.0000 0.0000
0.0000 5.7932 0.0000
-3.6094 0.0000 24.6753
Al Pb O F
4 12 4 36
Direct
0.1045 0.1844 0.4076
0.1045 0.3156 0.9076
0.8955 0.6844 0.0924
0.8955 0.8156 0.5924
0.0570 0.6761 0.3102
0.0570 0.8239 0.8102
0.3817 0.1740 0.0608
0.3817 0.3260 0.5608
0.4691 0.6438 0.1882
0.4691 0.8562 0.6882
0.5309 0.1438 0.3118
0.5309 0.3562 0.8118
0.6183 0.6740 0.4392
0.6183 0.8260 0.9392
0.9430 0.1761 0.1898
0.9430 0.3239 0.6898
0.3622 0.7213 0.5065
0.3622 0.7787 0.0065
0.6378 0.2213 0.9935
0.6378 0.2787 0.4935
0.0687 0.0832 0.5925
0.0687 0.4168 0.0925
0.0913 0.1327 0.3333
0.0913 0.3673 0.8333
0.1172 0.2433 0.4776
0.1172 0.2567 0.9776
0.1665 0.6380 0.6099
0.1665 0.8620 0.1099
0.2451 0.5834 0.7452
0.2451 0.9166 0.2452
0.2552 0.0792 0.7516
0.2552 0.4208 0.2516
0.2720 0.0490 0.8962
0.2720 0.4510 0.3962
0.3871 0.0321 0.4155
0.3871 0.4679 0.9155
0.4753 0.2316 0.1593
0.4753 0.2684 0.6593
0.5247 0.7316 0.3407
0.5247 0.7684 0.8407
0.6129 0.5321 0.0845
0.6129 0.9679 0.5845
0.7280 0.5490 0.6038
0.7280 0.9510 0.1038
0.7448 0.5792 0.7484
0.7448 0.9208 0.2484
0.7549 0.0834 0.7548
0.7549 0.4166 0.2548
0.8335 0.1380 0.8901
0.8335 0.3620 0.3901
0.8828 0.7433 0.0224
0.8828 0.7567 0.5224
0.9087 0.6327 0.1667
0.9087 0.8673 0.6667
0.9313 0.5832 0.9075
0.9313 0.9168 0.4075
```

crystal system: monoclinic
space group: P2_1/c
volume: 14.6 Å³/atom
spin magnetization: 8.0 Bohr magnetons per cell

***

The most stable arrangement is entry P, and the next structure is 12.1 kJ/mol of atoms less stable.

***

Entry P
AlTl2OF5: relaxed, PBE-GGA.

```
AlTl2OF5
1.0
4.6809 -4.5762 0.0000
4.6809 4.5762 0.0000
0.0000 0.0000 7.4132
Al Tl O F
2 4 2 10
Direct
0.0000 0.0000 0.0000
0.0000 0.0000 0.5000
0.1485 0.4762 0.7500
0.4762 0.1485 0.2500
0.5238 0.8515 0.7500
0.8515 0.5238 0.2500
0.4858 0.5142 0.7500
0.5142 0.4858 0.2500
0.0277 0.9723 0.2500
0.1959 0.1959 0.0000
0.1959 0.1959 0.5000
0.1964 0.8036 0.5303
0.1964 0.8036 0.9697
0.8036 0.1964 0.0303
0.8036 0.1964 0.4697
0.8041 0.8041 0.0000
0.8041 0.8041 0.5000
0.9723 0.0277 0.7500
```

crystal system: orthorhombic
space group: Cmcm
volume: 17.6 Å³/atom
spin magnetization: 4.0 Bohr magnetons per cell

***

Entry Q
AlTl2OF5: relaxed, PBE-GGA.

```
AlTl2OF5
1.0
4.8681 -4.0156 0.0000
4.8681 4.0156 0.0000
0.0000 0.0000 7.6570
Al Tl O F
2 4 2 10
Direct
0.0000 0.0000 0.0000
0.0000 0.0000 0.5000
0.0946 0.4937 0.7500
0.4937 0.0946 0.2500
0.5063 0.9054 0.7500
0.9054 0.5063 0.2500
0.4518 0.5482 0.2500
0.5482 0.4518 0.7500
0.0069 0.9931 0.2500
0.1869 0.1869 0.0000
0.1869 0.1869 0.5000
0.2241 0.7759 0.5083
0.2241 0.7759 0.9917
0.7759 0.2241 0.0083
0.7759 0.2241 0.4917
0.8131 0.8131 0.0000
0.8131 0.8131 0.5000
0.9931 0.0069 0.7500
```

crystal system: orthorhombic
space group: Cmcm
volume: 16.6 Å³/atom
spin magnetization: 4.0 Bohr magnetons per cell

***

The most stable arrangement is entry P, and the next structure is 5.2 kJ/mol of atoms less stable.